w) This record from the Materials Project describes crystalline Ba2YMgFe3O8 at its relaxed geometry. The functional is GGA+U.

Calculated values
Volume (Å³/cell): 231

Cell: 3.6644 4.1630 15.1642 Å, 90.00 90.00 90.00°
Fractional positions:
Ba 0.0000 0.0000 0.0000
Ba 0.0000 0.0000 0.2694
Y 0.0000 0.0000 0.7419
Mg 0.0000 0.0000 0.5496
Fe 0.5000 0.5000 0.1213
Fe 0.5000 0.5000 0.4481
Fe 0.5000 0.5000 0.8571
O 0.0000 0.5000 0.1514
O 0.0000 0.5000 0.5012
O 0.0000 0.5000 0.7872
O 0.5000 0.0000 0.1325
O 0.5000 0.0000 0.6198
O 0.5000 0.0000 0.8309
O 0.5000 0.5000 0.3257
O 0.5000 0.5000 0.9899

***

x) This record from the Materials Project describes crystalline Ba2YMgFe3O8 at its relaxed geometry. The functional is GGA+U.

Calculated values
Volume (Å³/cell): 231

Cell: 3.9178 4.1290 14.2973 Å, 90.00 90.00 90.00°
Fractional positions:
Ba 0.0000 0.0000 0.0000
Ba 0.0000 0.0000 0.2663
Y 0.0000 0.0000 0.7159
Mg 0.0000 0.5000 0.4681
Fe 0.5000 0.5000 0.1307
Fe 0.5000 0.5000 0.5958
Fe 0.5000 0.5000 0.8501
O 0.0000 0.5000 0.1630
O 0.0000 0.5000 0.6042
O 0.0000 0.5000 0.8039
O 0.5000 0.0000 0.1513
O 0.5000 0.0000 0.6357
O 0.5000 0.0000 0.8319
O 0.5000 0.5000 0.4304
O 0.5000 0.5000 0.9815

***

The most stable of them is w).

***

w) This record from the Materials Project describes crystalline MgMnVP2O8F2 at its relaxed geometry. The functional is GGA+U.

Calculated values
Volume (Å³/cell): 186

Cell: 5.2560 5.3633 7.4417 Å, 109.80 104.65 96.96°
Fractional positions:
Mg 0.0000 0.0000 0.0000
Mn 0.6036 0.9428 0.3511
V 0.0870 0.4347 0.8284
P 0.5312 0.5689 0.6015
P 0.6402 0.3196 0.0827
O 0.3285 0.2322 0.9820
O 0.3680 0.5859 0.7484
O 0.4541 0.7738 0.5038
O 0.4689 0.2790 0.4407
O 0.7310 0.6167 0.2287
O 0.7416 0.1101 0.1749
O 0.7974 0.2751 0.9253
O 0.8364 0.6660 0.7359
F 0.2058 0.7657 0.0908
F 0.9664 0.1163 0.5871

***

x) This record from the Materials Project describes crystalline MgMnVP2O8F2 at its relaxed geometry. The functional is GGA+U.

Calculated values
Volume (Å³/cell): 186

Cell: 5.2746 5.4495 7.3638 Å, 69.04 71.28 89.95°
Fractional positions:
Mg 0.0000 0.0000 0.0000
Mn 0.0000 0.5000 0.0000
V 0.5000 0.0000 0.5000
P 0.3938 0.6281 0.2493
P 0.6062 0.3719 0.7507
O 0.1845 0.6949 0.1396
O 0.3143 0.2856 0.9070
O 0.3456 0.3277 0.3762
O 0.3530 0.8000 0.3871
O 0.6470 0.2000 0.6129
O 0.6544 0.6723 0.6238
O 0.6857 0.7144 0.0930
O 0.8155 0.3051 0.8604
F 0.1673 0.8923 0.7489
F 0.8327 0.1077 0.2511

***

The most stable of them is x).

***

w) This record from the Materials Project describes crystalline FeC2O6 at its relaxed geometry. The functional is GGA+U.

Calculated values
Volume (Å³/cell): 445

Cell: 4.7851 4.7863 22.6230 Å, 84.00 83.94 60.01°
Fractional positions:
Fe 0.1252 0.1244 0.1254
Fe 0.3747 0.3753 0.3751
Fe 0.6253 0.6247 0.6249
Fe 0.8748 0.8756 0.8746
C 0.0586 0.0587 0.3240
C 0.1909 0.1919 0.9259
C 0.3090 0.3084 0.5738
C 0.4412 0.4414 0.1764
C 0.5588 0.5586 0.8236
C 0.6910 0.6916 0.4262
C 0.8091 0.8081 0.0741
C 0.9414 0.9413 0.6760
O 0.0231 0.3471 0.5733
O 0.0565 0.5222 0.0737
O 0.0973 0.3063 0.3235
O 0.1522 0.9444 0.9263
O 0.1935 0.7273 0.1769
O 0.2273 0.9029 0.6765
O 0.2728 0.5974 0.8231
O 0.3062 0.7729 0.3235
O 0.3477 0.5561 0.5734
O 0.4023 0.1938 0.1769
O 0.4434 0.9774 0.4267
O 0.4771 0.1529 0.9263
O 0.5229 0.8471 0.0737
O 0.5566 0.0226 0.5733
O 0.5977 0.8062 0.8231
O 0.6523 0.4439 0.4266
O 0.6938 0.2271 0.6765
O 0.7272 0.4026 0.1769
O 0.7727 0.0971 0.3235
O 0.8065 0.2727 0.8231
O 0.8478 0.0556 0.0737
O 0.9027 0.6937 0.6765
O 0.9435 0.4778 0.9263
O 0.9769 0.6529 0.4267

***

x) This record from the Materials Project describes crystalline FeC2O6 at its relaxed geometry. The functional is GGA+U.

Calculated values
Volume (Å³/cell): 713

Cell: 6.7138 6.7138 18.7333 Å, 90.00 90.00 122.40°
Fractional positions:
Fe 0.0000 0.0000 0.2500
Fe 0.0000 0.0000 0.7500
Fe 0.0000 0.5000 0.0000
Fe 0.5000 0.0000 0.5000
C 0.0000 0.5000 0.4060
C 0.0000 0.5000 0.5940
C 0.5000 0.0000 0.0940
C 0.5000 0.0000 0.9060
C 0.5000 0.5000 0.1564
C 0.5000 0.5000 0.3436
C 0.5000 0.5000 0.6564
C 0.5000 0.5000 0.8436
O 0.1455 0.8545 0.2500
O 0.1455 0.8545 0.7500
O 0.1517 0.3608 0.0000
O 0.1842 0.6795 0.4066
O 0.1842 0.6795 0.5934
O 0.3152 0.3212 0.3430
O 0.3152 0.3212 0.6570
O 0.3205 0.8158 0.0934
O 0.3205 0.8158 0.9066
O 0.3212 0.3152 0.1570
O 0.3212 0.3152 0.8430
O 0.3608 0.1517 0.5000
O 0.6392 0.8483 0.5000
O 0.6788 0.6848 0.1570
O 0.6788 0.6848 0.8430
O 0.6795 0.1842 0.0934
O 0.6795 0.1842 0.9066
O 0.6848 0.6788 0.3430
O 0.6848 0.6788 0.6570
O 0.8158 0.3205 0.4066
O 0.8158 0.3205 0.5934
O 0.8483 0.6392 0.0000
O 0.8545 0.1455 0.2500
O 0.8545 0.1455 0.7500

***

The most stable of them is w).